Below is crystalline Fe2Te3O12 at its relaxed geometry, with properties calculated at the PBE with a Hubbard U level.

Cell and atoms, written as POSCAR:
```
Fe2Te3O12
1.0
-3.9662 -1.8348 -5.2250
-5.1369 -1.2372 6.9255
1.3746 10.1701 -1.3427
O Te Fe
24 6 4
Cartesian
-3.7612 3.7711 -2.8986 O
-2.1541 6.2407 -2.2384 O
-3.9403 -1.3431 -2.6749 O
-7.3682 5.8614 0.5711 O
-5.2906 7.8831 0.6217 O
-2.4380 -0.7851 -0.2639 O
-6.8454 3.4871 2.4295 O
-5.1537 5.8377 2.6908 O
-5.7955 3.5335 -0.4937 O
-2.7714 0.9270 1.8814 O
-2.5749 1.2604 -2.3330 O
0.3192 6.2872 -1.3782 O
-5.1746 0.6170 -0.7281 O
-3.9673 3.3269 3.2564 O
-2.5540 6.4811 1.0859 O
-3.5294 0.6607 4.8042 O
-8.0478 0.8109 1.7360 O
-0.8831 3.6109 -2.0717 O
-4.1991 6.4373 -4.4464 O
-5.5744 0.8573 2.5962 O
-3.7883 8.4412 3.0328 O
-1.9331 3.5646 0.8515 O
-0.3604 1.2366 -0.2133 O
-4.9572 6.1711 -1.5236 O
-3.9335 1.4772 3.1880 Te
-7.1263 3.9838 0.6167 Te
-3.7951 5.6208 -2.8302 Te
-4.0952 7.0898 1.7944 Te
-3.6333 0.0082 -1.4366 Te
-0.6023 3.1142 -0.2589 Te
-2.1607 2.7122 -3.5100 Fe
-5.5679 4.3859 3.8679 Fe
-1.2483 -0.1678 1.2048 Fe
-6.4802 7.2659 -0.8470 Fe
```

Output
Space group: No. 2
Size of the total moment in μB per cell: 20.003
Energy in eV per atom: -5.58
MP2020-corrected energy in eV per atom: -6.33
E_form in eV per formula unit: -21.93
Mass density in g cm⁻³: 4.29